(1)
Material: Ag5PSeO4
Method: DFT, PBE-GGA
State: optimized geometry

Computed properties:
M_tot = 0.000 Bohr magnetons per cell
formation energy = -1.10 eV/atom
electronic total energy = -104.4 eV per cell
ρ = 6.6 g cm⁻³

Unit cell a=6.985 b=6.985 c=7.364 alpha=90.00 beta=90.00 gamma=90.00
Positions (direct):
Ag 0.781 0.719 0.196
Ag 0.219 0.719 0.196
Ag 0.781 0.281 0.196
Ag 0.219 0.281 0.196
Ag 0.719 0.781 0.804
Ag 0.281 0.781 0.804
Ag 0.719 0.219 0.804
Ag 0.281 0.219 0.804
Ag 0.000 0.500 0.470
Ag 0.500 0.000 0.530
P 0.500 0.500 0.500
P 0.000 0.000 0.500
Se 0.000 0.500 0.000
Se 0.500 0.000 0.000
O 0.500 0.316 0.377
O 0.500 0.684 0.377
O 0.816 0.000 0.377
O 0.184 0.000 0.377
O 0.000 0.184 0.623
O 0.000 0.816 0.623
O 0.684 0.500 0.623
O 0.316 0.500 0.623

(2)
Material: Na10Ca3Sn5P12O48
Method: DFT, PBE-GGA
State: optimized geometry

Computed properties:
M_tot = 0.000 Bohr magnetons per cell
formation energy = -2.63 eV/atom
electronic total energy = -1542.7 eV per cell
ρ = 3.2 g cm⁻³

Unit cell a=18.139 b=9.081 c=22.754 alpha=89.99 beta=90.03 gamma=120.13
Positions (direct):
Na 0.322 0.012 0.250
Na 0.686 0.357 0.249
Na 0.318 0.625 0.751
Na 0.818 0.624 0.751
Na 0.156 0.345 0.579
Na 0.656 0.346 0.579
Na 0.016 0.689 0.580
Na 0.517 0.688 0.580
Na 0.326 0.964 0.579
Na 0.828 0.968 0.580
Na 0.155 0.966 0.079
Na 0.656 0.968 0.080
Na 0.327 0.688 0.080
Na 0.828 0.690 0.079
Na 0.016 0.345 0.079
Na 0.517 0.345 0.080
Na 0.663 0.025 0.411
Na 0.350 0.676 0.410
Na 0.000 0.998 0.493
Na 0.500 0.016 0.491
Na 0.000 0.000 0.995
Na 0.500 0.000 0.995
Na 0.334 0.319 0.833
Na 0.834 0.319 0.833
Na 0.334 0.338 0.328
Na 0.846 0.343 0.329
Na 0.161 0.652 0.168
Na 0.666 0.680 0.168
Na 0.160 0.668 0.669
Na 0.661 0.667 0.669
Ca 0.500 0.005 0.351
Ca 0.334 0.325 0.691
Ca 0.834 0.325 0.692
Ca 0.331 0.338 0.187
Ca 0.840 0.335 0.189
Ca 0.167 0.667 0.008
Ca 0.667 0.666 0.009
Ca 0.160 0.659 0.510
Ca 0.671 0.671 0.512
Sn 0.001 0.998 0.351
Sn 0.002 0.003 0.853
Sn 0.502 0.003 0.853
Sn 0.002 0.003 0.653
Sn 0.501 0.002 0.652
Sn 0.000 0.000 0.152
Sn 0.500 0.998 0.153
Sn 0.333 0.334 0.980
Sn 0.834 0.334 0.980
Sn 0.332 0.324 0.481
Sn 0.837 0.341 0.480
Sn 0.163 0.662 0.317
Sn 0.666 0.668 0.318
Sn 0.164 0.667 0.820
Sn 0.664 0.667 0.820
P 0.143 0.986 0.252
P 0.647 0.987 0.252
P 0.345 0.705 0.253
P 0.850 0.713 0.252
P 0.006 0.296 0.253
P 0.506 0.306 0.249
P 0.143 0.302 0.752
P 0.643 0.301 0.752
P 0.007 0.718 0.752
P 0.507 0.718 0.752
P 0.351 0.986 0.753
P 0.851 0.986 0.753
P 0.479 0.325 0.584
P 0.979 0.324 0.584
P 0.183 0.041 0.584
P 0.684 0.043 0.583
P 0.337 0.633 0.585
P 0.839 0.635 0.587
P 0.479 0.633 0.083
P 0.980 0.635 0.083
P 0.337 0.040 0.086
P 0.837 0.041 0.083
P 0.182 0.325 0.082
P 0.684 0.325 0.086
P 0.320 0.665 0.915
P 0.820 0.664 0.916
P 0.013 0.362 0.917
P 0.513 0.362 0.917
P 0.168 0.974 0.917
P 0.668 0.974 0.917
P 0.313 0.969 0.418
P 0.820 0.974 0.417
P 0.167 0.361 0.417
P 0.673 0.371 0.419
P 0.014 0.667 0.417
P 0.514 0.655 0.420
O 0.096 0.007 0.305
O 0.606 0.005 0.307
O 0.393 0.788 0.309
O 0.908 0.808 0.305
O 0.494 0.194 0.301
O 0.999 0.183 0.305
O 0.095 0.185 0.804
O 0.595 0.185 0.804
O 0.496 0.816 0.803
O 0.996 0.816 0.803
O 0.408 0.001 0.805
O 0.908 0.001 0.805
O 0.389 0.956 0.694
O 0.889 0.956 0.694
O 0.093 0.225 0.693
O 0.593 0.224 0.693
O 0.020 0.818 0.692
O 0.520 0.819 0.692
O 0.389 0.822 0.196
O 0.890 0.814 0.193
O 0.017 0.218 0.193
O 0.523 0.227 0.190
O 0.093 0.966 0.193
O 0.592 0.962 0.194
O 0.441 0.359 0.638
O 0.939 0.357 0.638
O 0.238 0.120 0.637
O 0.740 0.127 0.635
O 0.324 0.529 0.640
O 0.825 0.533 0.643
O 0.441 0.523 0.136
O 0.942 0.527 0.137
O 0.323 0.110 0.142
O 0.821 0.119 0.136
O 0.236 0.356 0.136
O 0.734 0.354 0.142
O 0.223 0.289 0.027
O 0.728 0.292 0.031
O 0.420 0.553 0.027
O 0.921 0.553 0.027
O 0.354 0.163 0.031
O 0.856 0.159 0.027
O 0.223 0.157 0.528
O 0.723 0.152 0.524
O 0.352 0.548 0.528
O 0.855 0.548 0.532
O 0.420 0.286 0.528
O 0.921 0.290 0.528
O 0.286 0.693 0.973
O 0.786 0.693 0.973
O 0.058 0.424 0.975
O 0.559 0.424 0.975
O 0.153 0.883 0.975
O 0.653 0.882 0.975
O 0.273 0.873 0.475
O 0.791 0.886 0.476
O 0.151 0.420 0.476
O 0.666 0.447 0.476
O 0.057 0.696 0.476
O 0.562 0.679 0.477
O 0.061 0.640 0.365
O 0.561 0.633 0.365
O 0.257 0.877 0.362
O 0.754 0.879 0.367
O 0.184 0.491 0.366
O 0.682 0.481 0.362
O 0.060 0.482 0.864
O 0.560 0.482 0.864
O 0.181 0.879 0.864
O 0.681 0.880 0.864
O 0.261 0.640 0.860
O 0.761 0.640 0.860
O 0.001 0.824 0.407
O 0.502 0.811 0.413
O 0.400 0.984 0.414
O 0.910 0.000 0.406
O 0.090 0.179 0.407
O 0.598 0.188 0.414
O 0.001 0.180 0.908
O 0.501 0.180 0.908
O 0.089 0.998 0.907
O 0.589 0.997 0.907
O 0.411 0.823 0.907
O 0.911 0.822 0.907
O 0.483 0.154 0.589
O 0.983 0.154 0.589
O 0.093 0.034 0.588
O 0.594 0.036 0.587
O 0.423 0.814 0.588
O 0.924 0.815 0.589
O 0.483 0.812 0.088
O 0.984 0.815 0.088
O 0.423 0.031 0.088
O 0.923 0.033 0.088
O 0.092 0.153 0.087
O 0.594 0.153 0.088
O 0.340 0.140 0.752
O 0.840 0.140 0.752
O 0.233 0.330 0.751
O 0.733 0.329 0.751
O 0.425 0.545 0.750
O 0.925 0.545 0.751
O 0.330 0.526 0.248
O 0.836 0.532 0.252
O 0.427 0.325 0.244
O 0.929 0.317 0.253
O 0.234 0.136 0.251
O 0.734 0.150 0.246
O 0.327 0.500 0.917
O 0.826 0.499 0.918
O 0.423 0.345 0.919
O 0.923 0.346 0.918
O 0.251 0.154 0.918
O 0.750 0.154 0.918
O 0.319 0.148 0.419
O 0.823 0.151 0.419
O 0.254 0.360 0.420
O 0.757 0.357 0.418
O 0.422 0.492 0.420
O 0.925 0.500 0.418
O 0.167 0.476 0.075
O 0.670 0.477 0.077
O 0.071 0.666 0.075
O 0.570 0.665 0.076
O 0.261 0.859 0.076
O 0.762 0.859 0.076
O 0.166 0.858 0.578
O 0.667 0.861 0.578
O 0.261 0.662 0.577
O 0.763 0.664 0.580
O 0.070 0.475 0.578
O 0.571 0.475 0.577
O 0.147 0.818 0.256
O 0.655 0.823 0.254
O 0.258 0.708 0.253
O 0.761 0.699 0.257
O 0.091 0.472 0.257
O 0.593 0.482 0.253
O 0.150 0.481 0.757
O 0.650 0.481 0.757
O 0.089 0.704 0.757
O 0.589 0.704 0.757
O 0.263 0.814 0.757
O 0.763 0.814 0.757

(3)
Material: Rb2SbAuF6
Method: DFT, PBE-GGA
State: optimized geometry

Computed properties:
M_tot = 0.001 Bohr magnetons per cell
formation energy = -2.34 eV/atom
electronic total energy = -41.5 eV per cell
ρ = 4.9 g cm⁻³

Unit cell a=6.635 b=6.635 c=6.635 alpha=60.00 beta=60.00 gamma=60.00
Positions (direct):
Rb 0.750 0.750 0.750
Rb 0.250 0.250 0.250
Sb 0.000 0.000 0.000
Au 0.500 0.500 0.500
F 0.767 0.233 0.233
F 0.233 0.233 0.767
F 0.233 0.767 0.767
F 0.233 0.767 0.233
F 0.767 0.233 0.767
F 0.767 0.767 0.233

(4)
Material: CaU2P2O18
Method: DFT, PBE-GGA
State: optimized geometry

Computed properties:
M_tot = 3.496 Bohr magnetons per cell
formation energy = -1.64 eV/atom
offset from the most stable computed form = 4.41 eV per formula unit
electronic total energy = -162.3 eV per cell
ρ = 3.2 g cm⁻³

Unit cell a=6.942 b=6.975 c=9.161 alpha=89.47 beta=90.00 gamma=90.00
Positions (direct):
Ca 0.500 0.202 0.362
U 0.500 0.255 0.914
U 0.000 0.755 0.106
P 0.000 0.255 0.013
P 0.500 0.756 0.006
O 0.500 0.938 0.903
O 0.500 0.568 0.911
O 0.185 0.256 0.914
O 0.815 0.256 0.914
O 0.000 0.079 0.113
O 0.000 0.432 0.111
O 0.323 0.758 0.105
O 0.677 0.758 0.105
O 0.500 0.324 0.645
O 0.000 0.756 0.307
O 0.500 0.248 0.123
O 0.000 0.755 0.908
O 0.500 0.894 0.516
O 0.669 0.282 0.569
O 0.331 0.282 0.569
O 0.000 0.425 0.398
O 0.606 0.744 0.438
O 0.394 0.744 0.438

(5)
Material: Li3NbF6
Method: DFT, PBE-GGA
State: optimized geometry

Computed properties:
M_tot = 2.006 Bohr magnetons per cell
formation energy = -2.79 eV/atom
offset from the most stable computed form = 0.20 eV per formula unit
electronic total energy = -52.4 eV per cell
ρ = 2.9 g cm⁻³

Unit cell a=5.721 b=5.721 c=5.721 alpha=60.00 beta=60.00 gamma=60.00
Positions (direct):
Li 0.750 0.750 0.750
Li 0.250 0.250 0.250
Li 0.500 0.500 0.500
Nb 0.000 0.000 0.000
F 0.743 0.257 0.257
F 0.257 0.257 0.743
F 0.257 0.743 0.743
F 0.257 0.743 0.257
F 0.743 0.257 0.743
F 0.743 0.743 0.257

> Among the records above, which one has the highest ρ?

Ag5PSeO4

> Which of these has the highest formation energy?

Ag5PSeO4

> Which of these has the lowest formation energy?

Li3NbF6

> Which formula does entry 5 have?

Li3NbF6